Record 1
VASP calculation (PBE+U) on a relaxed Na6Al4FeSi8O26 crystal.

Computed properties:
Magnetization = 4.000 μB per formula unit
ΔE to the lowest computed polymorph = 0 meV/atom
Space-group type = P1

Lattice parameters (Å, degrees): 8.093 8.603 10.601 69.20 89.88 62.14
Positions (direct):
Na  0.000  0.000  0.000
Na  0.058  0.865  0.669
Na  0.261  0.473  0.277
Na  0.382  0.250  0.943
Na  0.702  0.616  0.725
Na  0.802  0.393  0.391
Al  0.092  0.221  0.183
Al  0.379  0.645  0.486
Al  0.670  0.052  0.489
Al  0.791  0.814  0.177
Fe  0.550  0.933  0.835
Si  0.007  0.629  0.965
Si  0.084  0.235  0.703
Si  0.280  0.053  0.494
Si  0.390  0.630  0.967
Si  0.402  0.812  0.177
Si  0.693  0.226  0.182
Si  0.699  0.238  0.701
Si  0.985  0.640  0.485
O  0.107  0.395  0.041
O  0.121  0.151  0.581
O  0.183  0.667  0.900
O  0.202  0.209  0.334
O  0.204  0.583  0.468
O  0.206  0.007  0.157
O  0.264  0.136  0.822
O  0.278  0.858  0.514
O  0.341  0.712  0.091
O  0.476  0.730  0.852
O  0.479  0.658  0.337
O  0.489  0.009  0.556
O  0.524  0.394  0.044
O  0.566  0.472  0.629
O  0.566  0.856  0.112
O  0.590  0.217  0.316
O  0.625  0.132  0.825
O  0.743  0.155  0.579
O  0.780  0.031  0.155
O  0.833  0.735  0.838
O  0.855  0.283  0.200
O  0.875  0.836  0.511
O  0.876  0.648  0.350
O  0.911  0.199  0.768
O  0.964  0.715  0.086
O  0.982  0.471  0.623

Record 2
VASP calculation (PBE+U) on a relaxed Na6Al3Fe3Te4O24 crystal.

Computed properties:
Space-group type = I-43d

Lattice parameters (Å, degrees): 10.843 10.843 10.843 109.47 109.47 109.47
Positions (direct):
Na  0.125  0.250  0.375
Na  0.125  0.375  0.750
Na  0.250  0.375  0.125
Na  0.250  0.875  0.625
Na  0.375  0.125  0.250
Na  0.375  0.750  0.125
Na  0.625  0.250  0.875
Na  0.625  0.875  0.750
Na  0.750  0.125  0.375
Na  0.750  0.625  0.875
Na  0.875  0.625  0.250
Na  0.875  0.750  0.625
Al  0.125  0.875  0.250
Al  0.250  0.125  0.875
Al  0.375  0.625  0.750
Al  0.625  0.750  0.375
Al  0.750  0.375  0.625
Al  0.875  0.250  0.125
Fe  0.125  0.750  0.875
Fe  0.250  0.625  0.375
Fe  0.375  0.250  0.625
Fe  0.625  0.375  0.250
Fe  0.750  0.875  0.125
Fe  0.875  0.125  0.750
Te  0.000  0.498  0.500
Te  0.000  0.998  0.500
Te  0.002  0.002  0.002
Te  0.498  0.500  0.000
Te  0.500  0.000  0.498
Te  0.500  0.000  0.998
Te  0.502  0.502  0.502
Te  0.998  0.500  0.000
O  0.009  0.190  0.114
O  0.016  0.327  0.901
O  0.075  0.689  0.673
O  0.076  0.886  0.395
O  0.099  0.615  0.425
O  0.105  0.991  0.681
O  0.114  0.009  0.190
O  0.115  0.599  0.925
O  0.173  0.189  0.575
O  0.181  0.491  0.605
O  0.189  0.575  0.173
O  0.190  0.114  0.009
O  0.310  0.319  0.924
O  0.311  0.484  0.385
O  0.319  0.924  0.310
O  0.327  0.901  0.016
O  0.385  0.311  0.484
O  0.386  0.576  0.895
O  0.395  0.076  0.886
O  0.401  0.827  0.516
O  0.424  0.819  0.810
O  0.425  0.099  0.615
O  0.484  0.385  0.311
O  0.491  0.605  0.181
O  0.509  0.614  0.690
O  0.516  0.401  0.827
O  0.575  0.173  0.189
O  0.576  0.895  0.386
O  0.599  0.925  0.115
O  0.605  0.181  0.491
O  0.614  0.690  0.509
O  0.615  0.425  0.099
O  0.673  0.075  0.689
O  0.681  0.105  0.991
O  0.689  0.673  0.075
O  0.690  0.509  0.614
O  0.810  0.424  0.819
O  0.811  0.885  0.984
O  0.819  0.810  0.424
O  0.827  0.516  0.401
O  0.885  0.984  0.811
O  0.886  0.395  0.076
O  0.895  0.386  0.576
O  0.901  0.016  0.327
O  0.924  0.310  0.319
O  0.925  0.115  0.599
O  0.984  0.811  0.885
O  0.991  0.681  0.105

Record 3
VASP calculation (PBE+U) on a relaxed AlFeO3 crystal.

Computed properties:
Magnetization = 5.000 μB per formula unit
Space-group type = Pnma

Lattice parameters (Å, degrees): 4.936 7.439 4.886 90.00 90.00 90.00
Positions (direct):
Al  0.035  0.250  0.006
Al  0.465  0.750  0.506
Al  0.535  0.250  0.494
Al  0.965  0.750  0.994
Fe  0.000  0.000  0.500
Fe  0.000  0.500  0.500
Fe  0.500  0.000  0.000
Fe  0.500  0.500  0.000
O  0.107  0.750  0.642
O  0.171  0.578  0.164
O  0.171  0.922  0.164
O  0.329  0.078  0.664
O  0.329  0.422  0.664
O  0.393  0.250  0.142
O  0.607  0.750  0.858
O  0.671  0.578  0.336
O  0.671  0.922  0.336
O  0.829  0.078  0.836
O  0.829  0.422  0.836
O  0.893  0.250  0.358

Record 4
VASP calculation (PBE+U) on a relaxed AlFeO3 crystal.

Computed properties:
Magnetization = 5.000 μB per formula unit
Space-group type = P6_3/mmc

Lattice parameters (Å, degrees): 3.188 3.188 11.964 90.00 90.00 120.00
Positions (direct):
Al  0.000  0.000  0.000
Al  0.000  0.000  0.500
Fe  0.333  0.667  0.250
Fe  0.667  0.333  0.750
O  0.000  0.000  0.250
O  0.000  0.000  0.750
O  0.333  0.667  0.076
O  0.333  0.667  0.424
O  0.667  0.333  0.576
O  0.667  0.333  0.924

Record 5
VASP calculation (PBE+U) on a relaxed AlFeO3 crystal.

Computed properties:
Magnetization = 5.000 μB per formula unit
Space-group type = P1

Lattice parameters (Å, degrees): 4.982 5.002 7.943 88.96 89.69 89.77
Positions (direct):
Al  0.000  0.000  0.000
Al  0.029  0.016  0.487
Al  0.497  0.514  0.497
Al  0.533  0.502  0.990
Fe  0.015  0.508  0.243
Fe  0.015  0.508  0.743
Fe  0.514  0.008  0.243
Fe  0.515  0.007  0.743
O  0.157  0.365  0.497
O  0.171  0.175  0.164
O  0.178  0.170  0.829
O  0.357  0.676  0.153
O  0.361  0.675  0.817
O  0.365  0.861  0.483
O  0.664  0.155  0.003
O  0.669  0.340  0.669
O  0.672  0.342  0.333
O  0.851  0.844  0.657
O  0.859  0.842  0.322
O  0.873  0.651  0.989

Record 6
VASP calculation (PBE+U) on a relaxed AlFeO3 crystal.

Computed properties:
Magnetization = 0.000 μB per formula unit

Lattice parameters (Å, degrees): 4.964 4.963 9.494 105.15 90.00 120.00
Positions (direct):
O  0.811  0.231  0.369
O  0.689  0.769  0.131
O  0.921  0.558  0.869
O  0.579  0.442  0.631
O  0.079  0.442  0.131
O  0.311  0.231  0.869
O  0.638  0.948  0.869
O  0.362  0.052  0.131
O  0.189  0.769  0.631
O  0.862  0.052  0.631
O  0.138  0.948  0.369
O  0.421  0.558  0.369
Al  0.576  0.152  0.727
Al  0.076  0.152  0.227
Al  0.424  0.848  0.273
Al  0.924  0.848  0.773
Fe  0.821  0.642  0.463
Fe  0.679  0.358  0.037
Fe  0.321  0.642  0.963
Fe  0.179  0.358  0.537

DFT formation energy (meV per atom)
-3051, -2073, -2287, -2301, -2356, -2534